VASP calculation (PBE-GGA) on an optimized crystal structure of Al2O3.

```
Al2O3
1.0
4.828 0.000 0.000
0.000 5.090 0.000
0.000 0.000 14.095
Al O
16 24
Cartesian
4.826 0.942 1.027
4.826 1.603 8.074
0.001 3.487 6.021
0.001 4.148 13.068
0.010 1.258 4.530
0.010 1.288 11.577
2.404 3.803 4.530
2.404 3.833 11.577
2.413 0.942 6.021
2.413 1.603 13.068
2.415 3.487 1.027
2.415 4.148 8.074
2.424 1.258 2.518
2.424 1.288 9.566
4.818 3.803 2.518
4.818 3.833 9.566
0.690 0.604 2.865
0.690 1.941 9.913
0.742 3.377 7.750
0.742 4.258 0.703
0.956 2.732 12.356
0.956 4.904 5.308
1.458 0.187 12.356
1.458 2.358 5.308
1.671 0.832 7.750
1.671 1.713 0.703
1.723 3.149 2.865
1.723 4.486 9.913
3.104 0.604 4.182
3.104 1.941 11.230
3.156 3.377 13.393
3.156 4.258 6.345
3.370 2.732 8.787
3.370 4.904 1.739
3.872 0.187 8.787
3.872 2.358 1.739
4.085 0.832 13.393
4.085 1.713 6.345
4.137 3.149 4.182
4.137 4.486 11.230
```

symmetry: Pbca (61)
calculated density: 3.91 g/cm³
total energy: -7.43 eV per atom

***

VASP calculation (PBE-GGA) on an optimized crystal structure of NaTi5O10.

```
NaTi5O10
1.0
8.461 0.000 0.000
0.883 9.480 0.000
3.870 1.081 9.297
Na Ti O
4 20 40
Cartesian
1.321 1.055 0.930
3.967 3.170 2.793
9.247 7.391 6.504
11.893 9.506 8.367
1.257 4.298 1.355
3.459 8.734 5.180
3.956 3.945 5.958
2.280 7.286 0.501
3.905 6.396 3.241
5.219 1.359 7.040
6.577 6.037 7.788
4.931 9.405 2.357
6.534 8.494 5.078
7.875 3.486 8.909
5.339 7.075 0.388
6.680 2.067 4.218
8.283 1.155 6.940
6.637 4.523 1.509
7.995 9.201 2.256
9.310 4.164 6.056
10.934 3.274 8.796
9.258 6.615 3.339
9.755 1.826 4.117
11.957 6.263 7.942
2.418 7.466 4.106
1.501 2.943 2.548
3.868 2.588 7.592
5.055 6.935 8.971
2.344 5.741 2.176
2.649 0.609 3.566
5.899 9.729 8.611
4.960 5.210 7.061
5.052 9.564 5.982
4.069 5.035 4.404
2.640 3.619 0.151
3.827 7.974 1.534
4.974 7.865 4.027
5.266 2.687 5.415
3.791 1.288 1.174
7.617 7.318 8.900
6.817 2.206 7.838
6.792 7.210 6.316
5.254 5.725 1.991
5.591 0.604 3.402
7.623 9.957 5.895
7.960 4.836 7.306
6.422 3.351 2.981
6.397 8.354 1.459
5.597 3.243 0.397
9.423 9.272 8.123
7.948 7.874 3.882
8.240 2.695 5.270
9.387 2.587 7.763
10.574 6.941 9.145
9.145 5.525 4.893
8.162 0.997 3.315
8.254 5.351 2.236
7.315 0.832 0.686
10.565 9.952 5.730
10.870 4.820 7.121
8.159 3.626 0.326
9.347 7.973 1.705
11.713 7.618 6.749
10.796 3.094 5.191
```

symmetry: P-1 (2)
calculated density: 3.76 g/cm³
magnetization: 0.06 μB/atom
total energy: -8.57 eV per atom

***

VASP calculation (PBE-GGA) on an optimized crystal structure of TaNi3.

```
TaNi3
1.0
4.246 0.000 0.000
0.000 5.108 0.000
0.000 0.000 4.543
Ta Ni
2 6
Cartesian
1.062 1.277 0.686
3.185 3.831 3.857
1.062 0.001 2.993
1.062 2.553 2.993
1.062 3.831 0.820
3.185 5.107 1.550
3.185 1.277 3.722
3.185 2.556 1.550
```

symmetry: Pmmn (59)
calculated density: 12.03 g/cm³
total energy: -7.66 eV per atom

***

VASP calculation (PBE-GGA) on an optimized crystal structure of TeS4N4Cl4.

```
TeS4N4Cl4
1.0
6.851 -6.195 0.000
6.851 6.195 0.000
-1.491 0.000 7.451
Te S N Cl
2 8 8 8
Cartesian
6.106 4.612 3.725
6.851 -4.612 0.000
4.001 3.230 6.053
6.654 3.303 6.852
4.277 0.430 5.074
5.022 -0.430 1.348
7.138 0.519 5.917
4.747 -3.230 2.328
7.884 -0.519 2.192
7.399 -3.303 3.127
5.566 3.613 5.626
3.644 1.725 5.672
5.862 0.289 4.985
7.247 1.832 6.753
4.389 -1.725 1.947
6.608 -0.289 1.260
7.992 -1.832 3.027
6.311 -3.613 1.901
1.442 0.231 1.589
4.537 3.014 2.656
0.696 -0.231 5.314
7.952 2.937 3.520
3.792 -3.014 6.382
11.777 0.084 0.633
7.207 -2.937 7.245
11.032 -0.084 4.359
```

piezoelectric modulus e_max: 0.07 C/m²
symmetry: Cc (9)
calculated density: 2.38 g/cm³
magnetization: 0.00 μB/atom
total energy: -4.55 eV per atom

***

VASP calculation (PBE-GGA) on an optimized crystal structure of LaSn6Ru4.

```
LaSn6Ru4
1.0
-3.485 3.485 4.954
3.485 -3.485 4.954
3.485 3.485 -4.954
La Sn Ru
1 6 4
Cartesian
0.000 0.000 0.000
3.485 0.000 0.000
1.231 -1.231 2.931
-1.231 1.231 2.931
0.000 3.485 0.000
2.254 2.254 2.023
1.231 1.231 6.977
2.286 2.286 -0.778
1.199 -1.199 5.732
1.199 1.199 4.176
-1.199 1.199 5.732
```

symmetry: I-42m (121)
calculated density: 8.66 g/cm³
total energy: -6.37 eV per atom

***

VASP calculation (PBE-GGA) on an optimized crystal structure of Mg5Si9.

```
Mg5Si9
1.0
6.646 0.000 0.000
2.736 6.183 0.000
2.801 -0.207 12.975
Mg Si
10 18
Cartesian
0.000 0.000 0.000
4.245 3.046 12.518
2.563 0.958 5.316
4.188 0.479 8.071
5.799 1.236 10.528
3.887 1.247 1.085
5.949 4.675 1.661
7.877 2.997 12.132
8.126 4.006 5.747
9.959 5.811 7.907
3.034 1.426 10.634
3.408 5.391 3.941
1.631 0.893 2.492
3.617 2.938 6.938
2.879 3.000 3.350
3.382 3.896 1.192
6.024 3.836 10.244
5.583 4.361 7.001
5.633 4.453 4.612
5.187 2.172 3.783
6.597 2.496 8.172
8.116 4.849 9.934
7.411 5.789 3.671
9.361 5.361 12.006
6.056 0.637 5.551
6.398 2.060 1.682
8.909 2.868 8.889
11.103 5.616 10.353
```

symmetry: P1 (1)
calculated density: 2.33 g/cm³
magnetization: 0.00 μB/atom
energy above the lowest structure with this stoichiometry: 40 meV per atom

***

VASP calculation (PBE-GGA) on an optimized crystal structure of Na3As.

```
Na3As
1.0
5.098 0.000 0.000
-2.549 4.415 0.000
0.000 0.000 9.076
Na As
6 2
Cartesian
0.000 0.000 2.269
0.000 0.000 6.807
0.000 2.943 0.725
0.000 2.943 3.813
2.549 1.472 5.263
2.549 1.472 8.351
0.000 2.943 6.807
2.549 1.472 2.269
```

symmetry: P6_3/mmc (194)
calculated density: 2.34 g/cm³
energy above the lowest structure with this stoichiometry: 1 meV per atom

***

VASP calculation (PBE-GGA) on an optimized crystal structure of CeTl.

```
CeTl
1.0
3.886 0.000 0.000
0.000 3.886 0.000
0.000 0.000 3.886
Ce Tl
1 1
Cartesian
0.000 0.000 0.000
1.943 1.943 1.943
```

symmetry: Pm-3m (221)
calculated density: 9.75 g/cm³
total energy: -4.36 eV per atom